No. 1
The following is a DFT calculation (PBE-GGA) of a geometry-optimized Ca8P6O29 structure.

Structure (CIF):
```
data_Ca8P6O29
_chemical_formula_sum 'Ca16 P12 O58'
_cell_length_a 6.871
_cell_length_b 9.634
_cell_length_c 18.911
_cell_angle_alpha 100.62
_cell_angle_beta 92.16
_cell_angle_gamma 90.11
_space_group_name_H-M_alt 'P -1'
_space_group_IT_number 2
loop_
_space_group_symop_operation_xyz
'x,y,z'
'-x,-y,-z'
loop_
_atom_site_label
_atom_site_fract_x
_atom_site_fract_y
_atom_site_fract_z
_atom_site_occupancy
Ca1 0.001 0.279 0.072 1
Ca2 0.020 0.332 0.372 1
Ca3 0.237 0.341 0.884 1
Ca4 0.238 0.924 0.773 1
Ca5 0.261 0.911 0.115 1
Ca6 0.269 0.541 0.203 1
Ca7 0.468 0.460 0.635 1
Ca8 0.498 0.735 0.927 1
P1 0.228 0.570 0.790 1
P2 0.242 0.015 0.942 1
P3 0.250 0.830 0.299 1
P4 0.259 0.596 0.043 1
P5 0.269 0.228 0.238 1
P6 0.272 0.633 0.496 1
O1 0.050 0.502 0.821 1
O2 0.060 0.001 0.890 1
O3 0.062 0.888 0.336 1
O4 0.072 0.680 0.064 1
O5 0.075 0.173 0.262 1
O6 0.105 0.744 0.497 1
O7 0.191 0.877 0.630 1
O8 0.207 0.569 0.709 1
O9 0.217 0.510 0.432 1
O10 0.230 0.805 0.216 1
O11 0.241 0.169 0.769 1
O12 0.242 0.891 0.985 1
O13 0.245 0.159 0.995 1
O14 0.248 0.724 0.834 1
O15 0.253 0.250 0.158 1
O16 0.255 0.185 0.435 1
O17 0.262 0.455 0.071 1
O18 0.265 0.569 0.959 1
O19 0.268 0.584 0.569 1
O20 0.302 0.205 0.663 1
O21 0.313 0.374 0.287 1
O22 0.314 0.687 0.318 1
O23 0.328 0.020 0.581 1
O24 0.403 0.949 0.331 1
O25 0.407 0.485 0.810 1
O26 0.424 0.998 0.895 1
O27 0.430 0.117 0.241 1
O28 0.437 0.690 0.074 1
O29 0.475 0.686 0.480 1
```

Results
For the calculated total energy, the calculation gives -561.87 eV for the cell shown. The formation energy is -2.531 eV/atom.

---

No. 2
The following is a DFT calculation (PBE-GGA) of a geometry-optimized Ca3P2O8 structure.

Structure (CIF):
```
data_Ca3P2O8
_chemical_formula_sum 'Ca63 P42 O168'
_cell_length_a 10.5492
_cell_length_b 10.5492
_cell_length_c 37.6777
_cell_angle_alpha 90.00
_cell_angle_beta 90.00
_cell_angle_gamma 120.00
_space_group_name_H-M_alt 'R 3'
_space_group_IT_number 146
_space_group_name_Hall 'R 3'
loop_
_atom_site_label
_atom_site_fract_x
_atom_site_fract_y
_atom_site_fract_z
_atom_site_occupancy
Ca1 0.0000 0.0000 0.0000 1
Ca2 0.0000 0.0000 0.3122 1
Ca3 0.0000 0.0000 0.5003 1
Ca4 0.0475 0.5380 0.1020 1
Ca5 0.0545 0.5102 0.6001 1
Ca6 0.1767 0.7905 0.8386 1
Ca7 0.1913 0.3926 0.2351 1
Ca8 0.1934 0.4081 0.3421 1
Ca9 0.1926 0.8020 0.7347 1
P1 0.0000 0.0000 0.2354 1
P2 0.0000 0.0000 0.7330 1
P3 0.0138 0.5280 0.3014 1
P4 0.0146 0.4876 0.8011 1
P5 0.1577 0.8050 0.5333 1
P6 0.1620 0.3652 0.0330 1
O1 0.0000 0.0000 0.1949 1
O2 0.0000 0.0000 0.6913 1
O3 0.0006 0.1377 0.2516 1
O4 0.0070 0.7294 0.8873 1
O5 0.0096 0.2834 0.3870 1
O6 0.0268 0.7867 0.1163 1
O7 0.0276 0.2406 0.6174 1
O8 0.0376 0.5300 0.3421 1
O9 0.0413 0.5108 0.8417 1
O10 0.0695 0.6884 0.2897 1
O11 0.0704 0.3837 0.7886 1
O12 0.0893 0.9048 0.5414 1
O13 0.0981 0.1958 0.0367 1
O14 0.1093 0.4274 0.5463 1
O15 0.1230 0.6793 0.0465 1
O16 0.1440 0.1385 0.7449 1
O17 0.1448 0.7628 0.4938 1
O18 0.1622 0.4178 0.9937 1
O19 0.1823 0.0800 0.4583 1
O20 0.1816 0.1024 0.9580 1
```

Results
For the energy above the most stable polymorph in this dataset, the calculation gives 0.04 eV per formula unit. For the calculated total energy, the calculation gives -1976.64 eV for the cell shown. The formation energy is -3.323 eV/atom.